No. 1
The following is a DFT calculation (PBE+U) of crystalline Ba2VBiO6 at its relaxed geometry.

```
40
Lattice="8.481 0.000 0.000 0.000 8.481 0.000 0.000 0.000 8.481" Properties=species:S:1:pos:R:3 pbc="T T T"
Ba 2.120 2.120 2.120
Ba 2.120 2.120 6.360
Ba 2.120 6.360 2.120
Ba 2.120 6.360 6.360
Ba 6.360 2.120 2.120
Ba 6.360 2.120 6.360
Ba 6.360 6.360 2.120
Ba 6.360 6.360 6.360
V 0.000 0.000 0.000
V 0.000 4.240 4.240
V 4.240 0.000 4.240
V 4.240 4.240 0.000
Bi 0.000 0.000 4.240
Bi 0.000 4.240 0.000
Bi 4.240 0.000 0.000
Bi 4.240 4.240 4.240
O 0.142 4.394 6.152
O 0.142 8.327 6.568
O 0.154 1.912 8.339
O 0.154 2.328 4.382
O 1.912 4.382 4.086
O 1.912 8.339 0.154
O 2.328 4.382 0.154
O 2.328 8.339 4.086
O 4.086 1.912 4.382
O 4.086 2.328 8.339
O 4.098 4.394 6.568
O 4.098 8.327 6.152
O 4.382 0.154 2.328
O 4.382 4.086 1.912
O 4.394 6.152 0.142
O 4.394 6.568 4.098
O 6.152 0.142 4.394
O 6.152 4.098 8.327
O 6.568 0.142 8.327
O 6.568 4.098 4.394
O 8.327 6.152 4.098
O 8.327 6.568 0.142
O 8.339 0.154 1.912
O 8.339 4.086 2.328
```

Properties
Its density is 6.87 Mg/m³. For the total energy, the calculation gives -6.6040 eV per atom. The spin magnetization is 0.0 μB per cell. The space group is No. 201. The formation energy is -2536.3 meV per atom.

No. 2
The following is a DFT calculation (PBE+U) of crystalline Ba2VBiO6 at its relaxed geometry.

```
10
Lattice="0.000 4.245 4.245 4.245 0.000 4.245 4.245 4.245 0.000" Properties=species:S:1:pos:R:3 pbc="T T T"
Ba 2.123 2.123 2.123
Ba 6.368 6.368 6.368
V 0.000 0.000 0.000
Bi 4.245 4.245 4.245
O 4.245 4.245 1.919
O 4.245 1.919 4.245
O 6.571 4.245 4.245
O 1.919 4.245 4.245
O 4.245 6.571 4.245
O 4.245 4.245 6.571
```

Properties
Its density is 6.84 Mg/m³. For the total energy, the calculation gives -6.6159 eV per atom. The spin magnetization is 0.0 μB per cell. The space group is No. 225. The formation energy is -2548.2 meV per atom.